Here is an optimized crystal structure of K2NaNb2Fe7Si8H4O31 from Materials Project. Energies are from PBE with a Hubbard U.

The structure in POSCAR format:
```
K2NaNb2Fe7Si8H4O31
1.0
-0.3364 -5.1520 1.9107
-1.9884 -2.9983 -11.2849
11.5615 2.8677 2.1333
K Na Nb Fe Si H O
2 1 2 7 8 4 31
direct
0.6274 0.4911 0.7577
0.3726 0.5089 0.2423
0.0000 0.5000 0.5000
0.5700 0.6836 0.5828
0.4300 0.3164 0.4172
0.5000 0.0000 0.0000
0.9166 0.9813 0.8484
0.0834 0.0187 0.1516
0.3568 0.9774 0.7048
0.6432 0.0226 0.2952
0.7749 0.9846 0.5682
0.2251 0.0154 0.4318
0.6798 0.2410 0.9475
0.3202 0.7590 0.0525
0.1206 0.2365 0.8218
0.8794 0.7635 0.1782
0.9920 0.2569 0.5668
0.0080 0.7431 0.4332
0.8240 0.2659 0.2202
0.1760 0.7341 0.7798
0.2407 0.1858 0.0780
0.7593 0.8142 0.9220
0.5391 0.1785 0.6530
0.4609 0.8215 0.3470
0.3550 0.1225 0.3355
0.6450 0.8775 0.6645
0.7703 0.1151 0.1783
0.2297 0.8849 0.8217
0.1961 0.0954 0.0353
0.8039 0.9046 0.9647
0.6218 0.0901 0.8888
0.3782 0.9099 0.1112
0.0661 0.0844 0.7571
0.9339 0.9156 0.2429
0.4862 0.0885 0.6134
0.5138 0.9115 0.3866
0.9244 0.1061 0.4830
0.0756 0.8939 0.5170
0.6373 0.3328 0.3034
0.3627 0.6672 0.6966
0.1164 0.3306 0.2964
0.8836 0.6694 0.7036
0.7631 0.3043 0.0997
0.2369 0.6957 0.9003
0.9189 0.2921 0.9048
0.0811 0.7079 0.0952
0.4201 0.2945 0.9066
0.5799 0.7055 0.0934
0.0810 0.2948 0.7188
0.9190 0.7052 0.2812
0.2311 0.3233 0.5404
0.7689 0.6767 0.4596
0.7543 0.3253 0.5460
0.2457 0.6747 0.4540
0.5000 0.5000 0.5000
```

E_form in meV/atom: -2518
Crystal system: triclinic

Here is an optimized crystal structure of Li9Mn2Co5O16 from Materials Project. Energies are from PBE with a Hubbard U.

The structure in POSCAR format:
```
Li9Mn2Co5O16
1.0
6.4819 0.0000 0.0000
2.0077 6.1673 0.0000
1.6741 2.8376 7.1021
Li Mn Co O
9 2 5 16
direct
0.9433 0.5566 0.3078
0.4454 0.0559 0.8124
0.0602 0.4405 0.6876
0.5580 0.9364 0.1852
0.1924 0.3241 0.0629
0.6779 0.8123 0.5687
0.3235 0.1965 0.4220
0.8002 0.6804 0.9513
0.3772 0.6192 0.1261
0.9987 0.9967 0.0006
0.1308 0.8777 0.3702
0.5046 0.4995 0.4917
0.6212 0.3758 0.8809
0.2511 0.7459 0.7606
0.7474 0.2542 0.2464
0.8720 0.1267 0.6227
0.0850 0.6793 0.0225
0.6050 0.1550 0.5382
0.2195 0.5482 0.4175
0.7271 0.0426 0.9087
0.3547 0.4265 0.7825
0.8644 0.9229 0.2628
0.4908 0.2799 0.1579
0.9877 0.8084 0.6322
0.7753 0.4476 0.5959
0.2540 0.9659 0.1087
0.8991 0.3304 0.9610
0.3909 0.8450 0.4628
0.0220 0.2046 0.3421
0.5261 0.7062 0.8351
0.1377 0.0714 0.7413
0.6566 0.5676 0.2338
```

Excess energy over the best structure of this formula in the dataset in meV/atom: 22.7
E_form in meV/atom: -1841
Crystal system: triclinic

Here is an optimized crystal structure of MgNi4O8 from Materials Project. Energies are from PBE with a Hubbard U.

The structure in POSCAR format:
```
MgNi4O8
1.0
-4.7171 -3.1708 0.5507
0.3206 -5.1272 2.8326
-2.5123 -0.5185 5.1016
Mg Ni O
1 4 8
direct
0.0000 0.5000 0.0000
0.5000 0.5000 0.5000
0.5000 0.0000 0.5000
0.0000 0.5000 0.5000
0.5000 0.5000 0.0000
0.7510 0.7079 0.2900
0.7510 0.7079 0.7510
0.2490 0.2921 0.7100
0.2677 0.6969 0.2677
0.2490 0.2921 0.2490
0.7100 0.2921 0.2490
0.2900 0.7079 0.7510
0.7323 0.3030 0.7323
```

Excess energy over the best structure of this formula in the dataset in meV/atom: 43.0
E_form in meV/atom: -1144
Crystal system: trigonal

Here is an optimized crystal structure of BaLaMnInO6 from Materials Project. Energies are from PBE with a Hubbard U.

The structure in POSCAR format:
```
BaLaMnInO6
1.0
-0.4093 0.8310 -5.9039
0.3360 -4.6761 -3.7060
-4.8656 -1.8340 -2.9454
Ba La Mn In O
1 1 1 1 6
direct
0.2500 0.2500 0.2500
0.0000 0.0000 0.0000
0.5000 0.5000 0.5000
0.7500 0.7500 0.7500
0.7256 0.2744 0.2744
0.2744 0.7256 0.7256
0.7256 0.2744 0.7256
0.2744 0.7256 0.2744
0.7256 0.7256 0.2744
0.2744 0.2744 0.7256
```

Excess energy over the best structure of this formula in the dataset in meV/atom: 368.6
E_form in meV/atom: -2265
Crystal system: cubic

no.,DFT total energy (eV/cell)
1,-394.80
2,-186.62
3,-63.51
4,-65.31